Record 1
Na4In2Si2SO12 | the Materials Project | GGA-PBE | optimized geometry; VASP energy = -6.037 eV/atom; E (MP2020) = -810.1 eV for the cell shown
1.0
9.286 0.036 0.008
-4.612 8.060 -0.008
0.022 -0.012 22.621
Na In Si O S
24 12 12 72 6
direct
0.701 0.047 0.907 Na
0.668 0.685 0.089 Na
0.322 0.642 0.167 Na
0.315 0.332 0.589 Na
0.358 0.678 0.667 Na
0.648 0.999 0.256 Na
0.716 0.678 0.421 Na
0.322 0.284 0.921 Na
0.989 0.618 0.255 Na
0.368 0.380 0.241 Na
0.001 0.352 0.756 Na
0.655 0.309 0.833 Na
0.691 0.345 0.333 Na
0.620 0.632 0.741 Na
0.655 0.951 0.588 Na
0.034 0.714 0.574 Na
0.989 0.975 0.500 Na
0.286 0.966 0.074 Na
0.982 0.665 0.923 Na
0.382 0.011 0.755 Na
0.025 0.011 0.000 Na
0.335 0.018 0.423 Na
0.953 0.299 0.407 Na
0.049 0.345 0.088 Na
0.997 0.001 0.151 In
0.333 0.669 0.318 In
0.982 0.988 0.349 In
0.999 0.003 0.651 In
0.666 0.336 0.984 In
0.664 0.334 0.484 In
0.331 0.667 0.818 In
0.012 0.018 0.849 In
0.678 0.351 0.182 In
0.649 0.322 0.682 In
0.345 0.684 0.515 In
0.316 0.655 0.015 In
0.368 0.333 0.083 Si
0.333 0.966 0.917 Si
0.667 0.632 0.583 Si
0.362 0.031 0.583 Si
0.303 0.305 0.750 Si
0.701 0.000 0.750 Si
0.969 0.638 0.083 Si
0.034 0.667 0.417 Si
0.636 0.971 0.416 Si
0.029 0.364 0.916 Si
0.695 0.697 0.250 Si
0.000 0.299 0.250 Si
0.159 0.666 0.081 O
0.022 0.803 0.696 O
0.482 0.105 0.641 O
0.688 0.136 0.030 O
0.644 0.523 0.643 O
0.561 0.851 0.475 O
0.639 0.111 0.137 O
0.977 0.190 0.310 O
0.646 0.516 0.920 O
0.823 0.302 0.246 O
0.467 0.148 0.245 O
0.222 0.028 0.304 O
0.305 0.445 0.470 O
0.114 0.629 0.357 O
0.179 0.020 0.588 O
0.864 0.312 0.530 O
0.698 0.177 0.746 O
0.512 0.687 0.254 O
0.185 0.200 0.412 O
0.513 0.838 0.753 O
0.846 0.504 0.420 O
0.519 0.866 0.078 O
0.149 0.439 0.975 O
0.187 0.222 0.691 O
0.477 0.356 0.143 O
0.826 0.999 0.415 O
0.162 0.487 0.253 O
0.829 0.821 0.586 O
0.310 0.856 0.976 O
0.810 0.023 0.810 O
0.520 0.888 0.357 O
0.815 0.772 0.308 O
0.704 0.553 0.524 O
0.484 0.354 0.420 O
0.646 0.154 0.421 O
0.846 0.354 0.921 O
0.179 0.171 0.086 O
0.197 0.978 0.196 O
0.313 0.849 0.254 O
0.371 0.886 0.857 O
0.980 0.182 0.587 O
0.038 0.219 0.191 O
0.531 0.645 0.863 O
0.134 0.481 0.578 O
0.668 0.508 0.248 O
0.447 0.296 0.024 O
0.228 0.185 0.808 O
0.496 0.154 0.920 O
0.313 0.488 0.754 O
0.334 0.841 0.581 O
0.818 0.020 0.087 O
0.445 0.146 0.524 O
0.144 0.690 0.476 O
0.980 0.821 0.088 O
0.889 0.361 0.637 O
0.492 0.332 0.748 O
0.778 0.813 0.191 O
0.895 0.518 0.141 O
0.001 0.174 0.915 O
0.555 0.695 0.970 O
0.852 0.533 0.745 O
0.112 0.480 0.857 O
0.972 0.778 0.804 O
0.489 0.635 0.579 O
0.800 0.815 0.912 O
0.355 0.469 0.363 O
0.854 0.555 0.024 O
0.151 0.687 0.754 O
0.781 0.962 0.691 O
0.156 0.968 0.913 O
0.032 0.844 0.413 O
0.365 0.511 0.079 O
0.965 0.335 0.584 S
0.998 0.701 0.750 S
0.632 0.668 0.917 S
0.665 0.035 0.084 S
0.299 0.002 0.250 S
0.332 0.368 0.417 S

***

Record 2
Na2In2SiS2O12 | the Materials Project | GGA-PBE | optimized geometry; VASP energy = -6.021 eV/atom; E (MP2020) = -735.9 eV for the cell shown
1.0
-6.219 -5.414 3.806
0.732 0.409 -9.042
15.297 -17.369 0.570
O S Si In Na
72 12 6 12 12
direct
0.034 0.813 0.701 O
0.774 0.801 0.198 O
0.879 0.516 0.140 O
0.827 0.030 0.087 O
0.840 0.496 0.422 O
0.168 0.486 0.249 O
0.632 0.106 0.136 O
0.363 0.474 0.365 O
0.105 0.642 0.353 O
0.133 0.482 0.866 O
0.473 0.324 0.745 O
0.876 0.370 0.920 O
0.507 0.643 0.579 O
0.357 0.493 0.079 O
0.649 0.530 0.636 O
0.504 0.160 0.922 O
0.195 0.187 0.087 O
0.832 0.321 0.248 O
0.689 0.139 0.031 O
0.679 0.168 0.748 O
0.840 0.532 0.742 O
0.855 0.545 0.022 O
0.813 0.805 0.587 O
0.229 0.026 0.305 O
0.526 0.637 0.865 O
0.141 0.480 0.578 O
0.483 0.345 0.421 O
0.861 0.311 0.531 O
0.514 0.832 0.749 O
0.799 0.983 0.413 O
0.541 0.679 0.971 O
0.792 0.981 0.687 O
0.149 0.674 0.755 O
0.974 0.771 0.805 O
0.180 0.202 0.415 O
0.187 0.966 0.201 O
0.692 0.553 0.531 O
0.321 0.459 0.471 O
0.970 0.173 0.587 O
0.019 0.208 0.187 O
0.455 0.145 0.522 O
0.151 0.978 0.910 O
0.810 0.775 0.302 O
0.225 0.190 0.802 O
0.309 0.469 0.758 O
0.484 0.121 0.640 O
0.156 0.714 0.468 O
0.177 0.015 0.588 O
0.894 0.368 0.636 O
0.286 0.844 0.968 O
0.447 0.308 0.031 O
0.326 0.851 0.255 O
0.358 0.895 0.853 O
0.468 0.160 0.242 O
0.655 0.517 0.921 O
0.017 0.201 0.913 O
0.676 0.527 0.245 O
0.798 0.820 0.915 O
0.520 0.859 0.078 O
0.022 0.849 0.410 O
0.985 0.823 0.088 O
0.199 0.226 0.698 O
0.977 0.179 0.305 O
0.518 0.867 0.366 O
0.147 0.634 0.080 O
0.630 0.124 0.420 O
0.366 0.853 0.580 O
0.141 0.447 0.971 O
0.553 0.859 0.471 O
0.821 0.023 0.805 O
0.470 0.351 0.136 O
0.531 0.691 0.258 O
0.997 0.697 0.751 S
0.335 0.373 0.418 S
0.966 0.335 0.583 S
0.627 0.665 0.918 S
0.625 0.956 0.417 S
0.044 0.375 0.917 S
0.299 0.303 0.751 S
0.697 0.701 0.251 S
0.664 0.629 0.584 S
0.303 0.003 0.251 S
0.371 0.336 0.084 S
0.665 0.034 0.083 S
0.333 0.974 0.914 Si
0.962 0.632 0.082 Si
0.368 0.038 0.582 Si
0.026 0.667 0.414 Si
0.709 0.001 0.748 Si
0.999 0.291 0.248 Si
0.313 0.644 0.317 In
0.327 0.683 0.016 In
0.670 0.340 0.483 In
0.676 0.331 0.184 In
0.356 0.687 0.817 In
0.007 0.001 0.650 In
0.669 0.324 0.684 In
0.999 0.007 0.850 In
0.660 0.330 0.983 In
0.993 0.001 0.350 In
0.317 0.673 0.516 In
0.999 0.993 0.150 In
0.030 0.341 0.093 Na
0.329 0.661 0.167 Na
0.659 0.970 0.593 Na
0.012 0.987 0.001 Na
0.339 0.671 0.667 Na
0.323 0.018 0.425 Na
0.982 0.677 0.925 Na
0.695 0.340 0.335 Na
0.000 0.623 0.251 Na
0.013 0.988 0.501 Na
0.377 0.000 0.751 Na
0.660 0.305 0.835 Na

***

Record 3
Na2In8SiS11O48 | the Materials Project | GGA-PBE | optimized geometry; VASP energy = -5.983 eV/atom; E (MP2020) = -1355.3 eV for the cell shown
1.0
17.824 -0.010 0.002
-4.460 7.712 0.002
0.003 0.008 23.427
In O Na S Si
24 144 6 33 3
direct
0.332 0.333 0.182 In
0.000 0.001 0.146 In
0.839 0.345 0.686 In
0.333 0.333 0.485 In
0.500 0.000 0.149 In
0.999 0.994 0.654 In
0.835 0.332 0.183 In
0.667 0.668 0.522 In
0.999 0.990 0.850 In
0.501 0.012 0.852 In
0.501 0.000 0.647 In
0.162 0.668 0.520 In
0.664 0.659 0.016 In
0.165 0.665 0.017 In
0.338 0.334 0.979 In
0.840 0.344 0.483 In
0.499 0.000 0.354 In
0.002 0.991 0.353 In
0.161 0.665 0.316 In
0.834 0.335 0.982 In
0.663 0.658 0.815 In
0.161 0.668 0.810 In
0.667 0.666 0.314 In
0.332 0.334 0.685 In
0.926 0.549 0.033 O
0.237 0.164 0.243 O
0.989 0.168 0.590 O
0.258 0.643 0.865 O
0.317 0.519 0.634 O
0.510 0.178 0.914 O
0.755 0.866 0.075 O
0.255 0.644 0.574 O
0.513 0.216 0.199 O
0.226 0.148 0.531 O
0.158 0.453 0.469 O
0.432 0.508 0.422 O
0.411 0.800 0.591 O
0.324 0.140 0.422 O
0.095 0.977 0.197 O
0.772 0.849 0.468 O
0.412 0.021 0.090 O
0.680 0.489 0.079 O
0.441 0.525 0.137 O
0.256 0.864 0.077 O
0.652 0.454 0.467 O
0.607 0.031 0.302 O
0.558 0.635 0.364 O
0.440 0.364 0.634 O
0.488 0.178 0.591 O
0.725 0.300 0.033 O
0.732 0.303 0.742 O
0.344 0.531 0.245 O
0.350 0.552 0.531 O
0.270 0.846 0.756 O
0.184 0.882 0.867 O
0.185 0.480 0.364 O
0.111 0.037 0.300 O
0.320 0.113 0.136 O
0.159 0.851 0.255 O
0.657 0.864 0.970 O
0.009 0.841 0.414 O
0.742 0.352 0.422 O
0.101 0.178 0.090 O
0.922 0.490 0.419 O
0.892 0.810 0.197 O
0.567 0.651 0.078 O
0.348 0.146 0.033 O
0.511 0.811 0.698 O
0.823 0.508 0.923 O
0.408 0.784 0.302 O
0.762 0.637 0.866 O
0.927 0.294 0.532 O
0.090 0.204 0.411 O
0.735 0.159 0.245 O
0.599 0.174 0.090 O
0.316 0.506 0.922 O
0.484 0.185 0.302 O
0.608 0.183 0.800 O
0.984 0.181 0.302 O
0.738 0.355 0.136 O
0.817 0.114 0.135 O
0.153 0.855 0.970 O
0.587 0.202 0.409 O
0.067 0.644 0.076 O
0.089 0.977 0.912 O
0.560 0.489 0.859 O
0.247 0.353 0.422 O
0.573 0.692 0.468 O
0.594 0.973 0.199 O
0.940 0.354 0.634 O
0.776 0.693 0.970 O
0.766 0.687 0.256 O
0.098 0.223 0.698 O
0.240 0.123 0.634 O
0.056 0.629 0.358 O
0.078 0.460 0.255 O
0.100 0.028 0.587 O
0.017 0.817 0.692 O
0.575 0.447 0.975 O
0.421 0.311 0.244 O
0.059 0.480 0.867 O
0.849 0.150 0.032 O
0.274 0.695 0.969 O
0.578 0.695 0.756 O
0.592 0.213 0.697 O
0.399 0.818 0.911 O
0.838 0.150 0.745 O
0.843 0.528 0.243 O
0.263 0.888 0.364 O
0.345 0.160 0.743 O
0.942 0.520 0.135 O
0.589 0.976 0.911 O
0.818 0.523 0.634 O
0.979 0.781 0.808 O
0.743 0.123 0.634 O
0.656 0.464 0.755 O
0.910 0.806 0.587 O
0.746 0.141 0.923 O
0.110 0.189 0.802 O
0.182 0.872 0.578 O
0.423 0.355 0.919 O
0.905 0.782 0.301 O
0.084 0.688 0.755 O
0.067 0.480 0.577 O
0.920 0.307 0.245 O
0.420 0.533 0.744 O
0.077 0.702 0.474 O
0.681 0.481 0.364 O
0.427 0.302 0.531 O
0.684 0.889 0.865 O
0.237 0.309 0.745 O
0.178 0.489 0.075 O
0.408 0.034 0.800 O
0.392 0.811 0.199 O
0.727 0.151 0.531 O
0.601 0.025 0.590 O
0.888 0.972 0.699 O
0.765 0.839 0.760 O
0.244 0.134 0.924 O
0.070 0.446 0.970 O
0.900 0.824 0.912 O
0.817 0.128 0.422 O
0.394 0.978 0.697 O
0.240 0.366 0.135 O
0.277 0.858 0.468 O
0.402 0.982 0.409 O
0.846 0.552 0.531 O
0.911 0.511 0.748 O
0.267 0.689 0.259 O
0.484 0.788 0.802 O
0.906 0.034 0.803 O
0.754 0.644 0.576 O
0.655 0.845 0.258 O
0.679 0.871 0.576 O
0.425 0.552 0.034 O
0.010 0.196 0.909 O
0.010 0.208 0.198 O
0.577 0.466 0.258 O
0.488 0.805 0.091 O
0.162 0.470 0.758 O
0.512 0.820 0.409 O
0.566 0.489 0.576 O
0.932 0.353 0.923 O
0.759 0.880 0.364 O
0.899 0.980 0.411 O
0.910 0.023 0.091 O
0.989 0.799 0.091 O
0.228 0.304 0.032 O
0.842 0.347 0.338 Na
0.002 0.989 0.499 Na
0.331 0.330 0.334 Na
0.502 0.014 0.994 Na
0.839 0.348 0.828 Na
0.339 0.334 0.836 Na
0.333 0.037 0.084 S
0.481 0.629 0.084 S
0.981 0.326 0.584 S
0.480 0.333 0.583 S
0.315 0.963 0.416 S
0.815 0.668 0.917 S
0.647 0.001 0.251 S
0.352 0.706 0.251 S
0.000 0.289 0.250 S
0.520 0.665 0.416 S
0.811 0.958 0.417 S
0.188 0.334 0.082 S
0.832 0.038 0.083 S
0.166 0.959 0.917 S
0.333 0.628 0.583 S
0.311 0.666 0.916 S
0.646 0.291 0.749 S
0.499 0.293 0.251 S
0.833 0.629 0.582 S
0.850 0.997 0.752 S
0.687 0.333 0.084 S
0.169 0.375 0.417 S
0.500 0.710 0.750 S
0.354 0.002 0.749 S
0.853 0.705 0.249 S
0.149 0.295 0.751 S
0.186 0.041 0.583 S
0.020 0.369 0.917 S
0.666 0.374 0.416 S
0.689 0.046 0.583 S
0.668 0.963 0.917 S
0.148 0.003 0.249 S
0.981 0.627 0.083 S
0.019 0.665 0.417 Si
0.998 0.705 0.751 Si
0.520 0.373 0.917 Si

***

no.,total moment (μB per cell)
1,0.0
2,0.0
3,0.0